Material: Mn3B4
Method: DFT, GGA-PBE
State: optimized geometry

Unit cell a=6.7208 b=6.7208 c=6.7208 alpha=154.58 beta=154.44 gamma=36.36
With the nearest neighbours (Å) after each atom.
Fractional positions:
Mn (0.0000, 0.0000, 0.0000)  12 B 2.27-2.35
Mn (0.1863, 0.6863, 0.5000)  7 B 2.13-2.19
Mn (0.8137, 0.3137, 0.5000)  7 B 2.13-2.19
B (0.3574, 0.8574, 0.5000)  2 B 1.76
B (0.4328, 0.4328, 0.0000)  3 B 1.72-1.76
B (0.5672, 0.5672, 0.0000)  3 B 1.72-1.76
B (0.6426, 0.1426, 0.5000)  2 B 1.76

Properties
* ΔE_f: -0.41 eV per atom